# SnGeO3 (GGA-PBE, relaxed)
# Energy of formation from the pure elements, meV per atom: -1906
data_SnGeO3
_space_group_name_H-M_alt 'P 1 2/c 1'
_space_group_IT_number 13
_cell_length_a 11.738
_cell_length_b 7.256
_cell_length_c 13.421
_cell_angle_alpha 90.00
_cell_angle_beta 118.89
_cell_angle_gamma 90.00
loop_
_space_group_symop_operation_xyz
'x,y,z'
'-x,-y,-z'
'-x,y,-z+1/2'
'x,-y,z+1/2'
loop_
_atom_site_label
_atom_site_type_symbol
_atom_site_fract_x
_atom_site_fract_y
_atom_site_fract_z
Sn1 Sn 0.083 0.112 0.164
Sn2 Sn 0.291 0.195 0.600
Sn3 Sn 0.369 0.461 0.318
Ge1 Ge 0.045 0.382 0.654
Ge2 Ge 0.248 0.326 0.040
Ge3 Ge 0.358 0.095 0.887
O1 O 0.000 0.273 0.750
O2 O 0.104 0.462 0.964
O3 O 0.115 0.197 0.616
O4 O 0.153 0.433 0.215
O5 O 0.220 0.119 0.093
O6 O 0.247 0.082 0.327
O7 O 0.311 0.288 0.944
O8 O 0.356 0.474 0.149
O9 O 0.389 0.227 0.790
O10 O 0.500 0.000 0.000

---

# Ce3TiSb5 (GGA-PBE, relaxed)
# Energy of formation from the pure elements, meV per atom: -1012
data_Ce3TiSb5
_space_group_name_H-M_alt 'P 63/m c m'
_space_group_IT_number 193
_space_group_name_Hall '-P 6c 2'
_cell_length_a 9.3324
_cell_length_b 9.3324
_cell_length_c 6.2346
_cell_angle_alpha 90.00
_cell_angle_beta 90.00
_cell_angle_gamma 120.00
loop_
_atom_site_label
_atom_site_type_symbol
_atom_site_fract_x
_atom_site_fract_y
_atom_site_fract_z
Ce1 Ce 0.0000 0.3818 0.2500
Ti1 Ti 0.0000 0.0000 0.0000
Sb1 Sb 0.0000 0.2578 0.7500
Sb2 Sb 0.3333 0.6667 0.0000

---

# VZnCu3Se4 (GGA-PBE, relaxed)
# Energy of formation from the pure elements, meV per atom: -504
data_VZnCu3Se4
_space_group_name_H-M_alt 'P -4 3 m'
_space_group_IT_number 215
_space_group_name_Hall 'P -4 2 3'
_cell_length_a 5.716
_cell_length_b 5.716
_cell_length_c 5.716
_cell_angle_alpha 90.00
_cell_angle_beta 90.00
_cell_angle_gamma 90.00
loop_
_atom_site_label
_atom_site_type_symbol
_atom_site_fract_x
_atom_site_fract_y
_atom_site_fract_z
V1 V 0.000 0.000 0.000
Zn1 Zn 0.500 0.500 0.500
Cu1 Cu 0.000 0.000 0.500
Se1 Se 0.246 0.246 0.246

---

# Ba6MgNb2IrCl2O12 (GGA-PBE, relaxed)
# Energy of formation from the pure elements, meV per atom: -2767
# ΔE to the lowest computed polymorph, eV per formula unit: 0.92
data_Ba6MgNb2IrCl2O12
_space_group_name_H-M_alt 'P 1'
_space_group_IT_number 1
_cell_length_a 6.007
_cell_length_b 6.008
_cell_length_c 16.086
_cell_angle_alpha 90.02
_cell_angle_beta 97.46
_cell_angle_gamma 119.87
loop_
_space_group_symop_operation_xyz
'x,y,z'
loop_
_atom_site_label
_atom_site_type_symbol
_atom_site_fract_x
_atom_site_fract_y
_atom_site_fract_z
Ba1 Ba 0.000 0.000 0.000
Ba2 Ba 0.039 0.022 0.243
Ba3 Ba 0.238 0.120 0.640
Ba4 Ba 0.348 0.673 0.118
Ba5 Ba 0.438 0.719 0.374
Ba6 Ba 0.631 0.816 0.778
Mg1 Mg 0.417 0.209 0.840
Nb1 Nb 0.693 0.348 0.201
Nb2 Nb 0.992 0.496 0.839
Ir1 Ir 0.726 0.363 0.003
Cl1 Cl 0.150 0.076 0.441
Cl2 Cl 0.472 0.737 0.584
O1 O 0.070 0.527 0.251
O2 O 0.141 0.311 0.787
O3 O 0.141 0.830 0.788
O4 O 0.214 0.606 0.940
O5 O 0.338 0.178 0.133
O6 O 0.601 0.051 0.265
O7 O 0.615 0.562 0.266
O8 O 0.636 0.318 0.744
O9 O 0.715 0.149 0.899
O10 O 0.716 0.566 0.899
O11 O 0.786 0.172 0.101
O12 O 0.795 0.617 0.102

---

# RbAl6H20N5F24 (GGA-PBE, relaxed)
# Energy of formation from the pure elements, meV per atom: -1977
# ΔE to the lowest computed polymorph, eV per formula unit: 2.83
data_RbAl6H20N5F24
_space_group_name_H-M_alt 'P 1'
_space_group_IT_number 1
_cell_length_a 5.337
_cell_length_b 5.357
_cell_length_c 18.715
_cell_angle_alpha 89.43
_cell_angle_beta 88.87
_cell_angle_gamma 89.25
loop_
_space_group_symop_operation_xyz
'x,y,z'
loop_
_atom_site_label
_atom_site_type_symbol
_atom_site_fract_x
_atom_site_fract_y
_atom_site_fract_z
Rb1 Rb 0.000 0.000 0.000
Al1 Al 0.059 0.538 0.850
Al2 Al 0.238 0.347 0.527
Al3 Al 0.393 0.116 0.182
Al4 Al 0.556 0.006 0.838
Al5 Al 0.748 0.854 0.517
Al6 Al 0.890 0.605 0.175
H1 H 0.043 0.217 0.301
H2 H 0.043 0.425 0.412
H3 H 0.043 0.506 0.768
H4 H 0.087 0.941 0.649
H5 H 0.112 0.153 0.768
H6 H 0.208 0.647 0.655
H7 H 0.291 0.832 0.588
H8 H 0.393 0.896 0.669
H9 H 0.398 0.415 0.964
H10 H 0.401 0.767 0.370
H11 H 0.473 0.056 0.029
H12 H 0.511 0.699 0.976
H13 H 0.535 0.486 0.043
H14 H 0.713 0.463 0.968
H15 H 0.721 0.571 0.684
H16 H 0.723 0.192 0.301
H17 H 0.736 0.453 0.398
H18 H 0.748 0.343 0.423
H19 H 0.888 0.007 0.357
H20 H 0.910 0.959 0.270
N1 N 0.244 0.830 0.641
N2 N 0.373 0.680 0.322
N3 N 0.538 0.512 0.988
N4 N 0.679 0.382 0.683
N5 N 0.892 0.100 0.307
F1 F 0.021 0.008 0.756
F2 F 0.048 0.490 0.944
F3 F 0.142 0.356 0.172
F4 F 0.145 0.871 0.174
F5 F 0.210 0.337 0.618
F6 F 0.212 0.359 0.419
F7 F 0.307 0.246 0.850
F8 F 0.309 0.772 0.865
F9 F 0.391 0.139 0.274
F10 F 0.401 0.127 0.082
F11 F 0.480 0.106 0.514
F12 F 0.481 0.593 0.517
F13 F 0.513 0.005 0.971
F14 F 0.539 0.936 0.751
F15 F 0.638 0.871 0.174
F16 F 0.641 0.360 0.171
F17 F 0.742 0.855 0.607
F18 F 0.756 0.855 0.424
F19 F 0.766 0.241 0.863
F20 F 0.788 0.768 0.866
F21 F 0.883 0.606 0.267
F22 F 0.891 0.613 0.082
F23 F 0.996 0.104 0.514
F24 F 0.997 0.597 0.515

---

# Mg2Ru (GGA-PBE, relaxed)
# Energy of formation from the pure elements, meV per atom: 120
data_Mg2Ru
_space_group_name_H-M_alt 'C m c m'
_space_group_IT_number 63
_space_group_name_Hall '-C 2c 2'
_cell_length_a 6.773
_cell_length_b 8.337
_cell_length_c 4.451
_cell_angle_alpha 90.00
_cell_angle_beta 90.00
_cell_angle_gamma 90.00
loop_
_atom_site_label
_atom_site_type_symbol
_atom_site_fract_x
_atom_site_fract_y
_atom_site_fract_z
Mg1 Mg 0.230 0.146 0.250
Ru1 Ru 0.000 0.425 0.250

---

# Y2CuGe6 (GGA-PBE, relaxed)
# Energy of formation from the pure elements, meV per atom: -415
data_Y2CuGe6
_space_group_name_H-M_alt 'A m m 2'
_space_group_IT_number 38
_cell_length_a 4.090
_cell_length_b 4.073
_cell_length_c 21.363
_cell_angle_alpha 90.00
_cell_angle_beta 90.00
_cell_angle_gamma 90.00
loop_
_space_group_symop_operation_xyz
'x,y,z'
'-x,-y,z'
'-x,y,z'
'x,-y,z'
'x,y+1/2,z+1/2'
'-x,-y+1/2,z+1/2'
'-x,y+1/2,z+1/2'
'x,-y+1/2,z+1/2'
loop_
_atom_site_label
_atom_site_type_symbol
_atom_site_fract_x
_atom_site_fract_y
_atom_site_fract_z
Y1 Y 0.000 0.000 0.000
Y2 Y 0.000 0.000 0.334
Cu1 Cu 0.500 0.000 0.554
Ge1 Ge 0.000 0.000 0.615
Ge2 Ge 0.000 0.000 0.731
Ge3 Ge 0.500 0.000 0.115
Ge4 Ge 0.500 0.000 0.231
Ge5 Ge 0.500 0.000 0.446
Ge6 Ge 0.500 0.000 0.875

---

# SiO2 (GGA-PBE, relaxed)
# Energy of formation from the pure elements, meV per atom: -2610
data_SiO2
_space_group_name_H-M_alt 'P c c a'
_space_group_IT_number 54
_cell_length_a 7.123
_cell_length_b 4.719
_cell_length_c 9.775
_cell_angle_alpha 90.00
_cell_angle_beta 90.00
_cell_angle_gamma 90.00
loop_
_space_group_symop_operation_xyz
'x,y,z'
'-x,-y,-z'
'-x+1/2,-y,z'
'x+1/2,y,-z'
'x+1/2,-y,-z+1/2'
'-x+1/2,y,z+1/2'
'-x,y,-z+1/2'
'x,-y,z+1/2'
loop_
_atom_site_label
_atom_site_type_symbol
_atom_site_fract_x
_atom_site_fract_y
_atom_site_fract_z
Si1 Si 0.076 0.227 0.102
O1 O 0.000 0.000 0.000
O2 O 0.000 0.337 0.250
O3 O 0.000 0.500 0.000
O4 O 0.250 0.000 0.161